[1]
# Gd3Ga5O12, relaxed, DFT PBE
# E_tot = -668.6 eV for the cell shown
# symmetry = Ia-3d, No. 230
data_Gd3Ga5O12
_cell_length_a 10.870
_cell_length_b 10.870
_cell_length_c 10.870
_cell_angle_alpha 109.47
_cell_angle_beta 109.47
_cell_angle_gamma 109.47
_symmetry_space_group_name_H-M 'P 1'
_symmetry_Int_Tables_number 1
loop_
_symmetry_equiv_pos_as_xyz
'x,y,z'
loop_
_atom_site_label
_atom_site_type_symbol
_atom_site_fract_x
_atom_site_fract_y
_atom_site_fract_z
Gd1 Gd 0.125 0.375 0.750
Gd2 Gd 0.375 0.125 0.250
Gd3 Gd 0.375 0.750 0.125
Gd4 Gd 0.125 0.250 0.375
Gd5 Gd 0.750 0.125 0.375
Gd6 Gd 0.250 0.375 0.125
Gd7 Gd 0.875 0.625 0.250
Gd8 Gd 0.625 0.875 0.750
Gd9 Gd 0.625 0.250 0.875
Gd10 Gd 0.875 0.750 0.625
Gd11 Gd 0.250 0.875 0.625
Gd12 Gd 0.750 0.625 0.875
Ga1 Ga 0.000 0.500 0.000
Ga2 Ga 0.000 0.000 0.500
Ga3 Ga 0.500 0.000 0.000
Ga4 Ga 0.500 0.500 0.500
Ga5 Ga 0.500 0.500 0.000
Ga6 Ga 0.500 0.000 0.500
Ga7 Ga 0.000 0.500 0.500
Ga8 Ga 0.000 0.000 0.000
Ga9 Ga 0.375 0.625 0.750
Ga10 Ga 0.125 0.875 0.250
Ga11 Ga 0.625 0.750 0.375
Ga12 Ga 0.875 0.250 0.125
Ga13 Ga 0.750 0.375 0.625
Ga14 Ga 0.250 0.125 0.875
Ga15 Ga 0.625 0.375 0.250
Ga16 Ga 0.875 0.125 0.750
Ga17 Ga 0.375 0.250 0.625
Ga18 Ga 0.125 0.750 0.875
Ga19 Ga 0.250 0.625 0.375
Ga20 Ga 0.750 0.875 0.125
O1 O 0.025 0.322 0.903
O2 O 0.920 0.123 0.597
O3 O 0.580 0.178 0.203
O4 O 0.475 0.377 0.297
O5 O 0.322 0.903 0.025
O6 O 0.123 0.597 0.920
O7 O 0.178 0.203 0.580
O8 O 0.377 0.297 0.475
O9 O 0.903 0.025 0.322
O10 O 0.597 0.920 0.123
O11 O 0.203 0.580 0.178
O12 O 0.297 0.475 0.377
O13 O 0.975 0.678 0.097
O14 O 0.080 0.877 0.403
O15 O 0.420 0.822 0.797
O16 O 0.525 0.623 0.703
O17 O 0.678 0.097 0.975
O18 O 0.877 0.403 0.080
O19 O 0.822 0.797 0.420
O20 O 0.623 0.703 0.525
O21 O 0.097 0.975 0.678
O22 O 0.403 0.080 0.877
O23 O 0.797 0.420 0.822
O24 O 0.703 0.525 0.623
O25 O 0.525 0.403 0.822
O26 O 0.420 0.097 0.623
O27 O 0.080 0.703 0.678
O28 O 0.975 0.797 0.877
O29 O 0.822 0.525 0.403
O30 O 0.623 0.420 0.097
O31 O 0.678 0.080 0.703
O32 O 0.877 0.975 0.797
O33 O 0.403 0.822 0.525
O34 O 0.097 0.623 0.420
O35 O 0.703 0.678 0.080
O36 O 0.797 0.877 0.975
O37 O 0.475 0.597 0.178
O38 O 0.580 0.903 0.377
O39 O 0.920 0.297 0.322
O40 O 0.025 0.203 0.123
O41 O 0.178 0.475 0.597
O42 O 0.377 0.580 0.903
O43 O 0.322 0.920 0.297
O44 O 0.123 0.025 0.203
O45 O 0.597 0.178 0.475
O46 O 0.903 0.377 0.580
O47 O 0.297 0.322 0.920
O48 O 0.203 0.123 0.025

=====

[2]
# ZrCdO3, relaxed, DFT PBE
# E_tot = -34.7 eV for the cell shown
# symmetry = Pm-3m, No. 221
data_ZrCdO3
_cell_length_a 4.159
_cell_length_b 4.159
_cell_length_c 4.159
_cell_angle_alpha 90.00
_cell_angle_beta 90.00
_cell_angle_gamma 90.00
_symmetry_space_group_name_H-M 'P 1'
_symmetry_Int_Tables_number 1
loop_
_symmetry_equiv_pos_as_xyz
'x,y,z'
loop_
_atom_site_label
_atom_site_type_symbol
_atom_site_fract_x
_atom_site_fract_y
_atom_site_fract_z
Zr1 Zr 0.500 0.500 0.500
Cd1 Cd 0.000 0.000 0.000
O1 O 0.500 0.500 0.000
O2 O 0.500 0.000 0.500
O3 O 0.000 0.500 0.500

=====

[3]
# KHCN2, relaxed, DFT PBE
# E_tot = -256.0 eV for the cell shown
# piezoelectric modulus e_max = 0.197 C/m²
# symmetry = P2_12_12_1, No. 19
data_KHCN2
_cell_length_a 7.196
_cell_length_b 9.136
_cell_length_c 9.171
_cell_angle_alpha 90.00
_cell_angle_beta 90.00
_cell_angle_gamma 90.00
_symmetry_space_group_name_H-M 'P 1'
_symmetry_Int_Tables_number 1
loop_
_symmetry_equiv_pos_as_xyz
'x,y,z'
loop_
_atom_site_label
_atom_site_type_symbol
_atom_site_fract_x
_atom_site_fract_y
_atom_site_fract_z
K1 K 0.741 0.104 0.511
K2 K 0.241 0.396 0.489
K3 K 0.259 0.604 0.989
K4 K 0.759 0.896 0.011
K5 K 0.515 0.251 0.145
K6 K 0.015 0.249 0.855
K7 K 0.485 0.751 0.355
K8 K 0.985 0.749 0.645
H1 H 0.072 0.555 0.257
H2 H 0.572 0.945 0.743
H3 H 0.928 0.055 0.243
H4 H 0.428 0.445 0.757
H5 H 0.826 0.468 0.678
H6 H 0.326 0.032 0.322
H7 H 0.174 0.968 0.822
H8 H 0.674 0.532 0.178
C1 C 0.775 0.556 0.981
C2 C 0.275 0.944 0.019
C3 C 0.225 0.056 0.519
C4 C 0.725 0.444 0.481
C5 C 0.523 0.251 0.809
C6 C 0.023 0.249 0.191
C7 C 0.477 0.751 0.691
C8 C 0.977 0.749 0.309
N1 N 0.642 0.566 0.073
N2 N 0.142 0.934 0.927
N3 N 0.358 0.066 0.427
N4 N 0.858 0.434 0.573
N5 N 0.889 0.555 0.885
N6 N 0.389 0.945 0.115
N7 N 0.111 0.055 0.615
N8 N 0.611 0.445 0.385
N9 N 0.390 0.342 0.793
N10 N 0.890 0.158 0.207
N11 N 0.610 0.842 0.707
N12 N 0.110 0.658 0.293
N13 N 0.636 0.156 0.830
N14 N 0.136 0.344 0.170
N15 N 0.364 0.656 0.670
N16 N 0.864 0.844 0.330

=====

[4]
# MgSi, relaxed, DFT PBE
# E_tot = -41.1 eV for the cell shown
# symmetry = P-1, No. 2
data_MgSi
_cell_length_a 4.517
_cell_length_b 5.428
_cell_length_c 9.937
_cell_angle_alpha 93.62
_cell_angle_beta 102.57
_cell_angle_gamma 110.71
_symmetry_space_group_name_H-M 'P 1'
_symmetry_Int_Tables_number 1
loop_
_symmetry_equiv_pos_as_xyz
'x,y,z'
loop_
_atom_site_label
_atom_site_type_symbol
_atom_site_fract_x
_atom_site_fract_y
_atom_site_fract_z
Mg1 Mg 0.545 0.674 0.387
Mg2 Mg 0.455 0.326 0.613
Mg3 Mg 0.226 0.623 0.823
Mg4 Mg 0.774 0.377 0.177
Mg5 Mg 0.841 0.973 0.713
Mg6 Mg 0.159 0.027 0.287
Si1 Si 0.424 0.744 0.111
Si2 Si 0.138 0.242 0.009
Si3 Si 0.837 0.270 0.441
Si4 Si 0.163 0.730 0.559
Si5 Si 0.576 0.256 0.889
Si6 Si 0.862 0.758 0.991

=====

[5]
# BiPt3, relaxed, DFT PBE
# E_tot = -22.0 eV for the cell shown
# symmetry = Pm-3m, No. 221
data_BiPt3
_cell_length_a 4.186
_cell_length_b 4.186
_cell_length_c 4.186
_cell_angle_alpha 90.00
_cell_angle_beta 90.00
_cell_angle_gamma 90.00
_symmetry_space_group_name_H-M 'P 1'
_symmetry_Int_Tables_number 1
loop_
_symmetry_equiv_pos_as_xyz
'x,y,z'
loop_
_atom_site_label
_atom_site_type_symbol
_atom_site_fract_x
_atom_site_fract_y
_atom_site_fract_z
Bi1 Bi 0.000 0.000 0.000
Pt1 Pt 0.000 0.500 0.500
Pt2 Pt 0.500 0.000 0.500
Pt3 Pt 0.500 0.500 0.000

=====

[6]
# Na3Ga, relaxed, DFT PBE
# E_tot = -6.9 eV for the cell shown
# symmetry = Fm-3m, No. 225
data_Na3Ga
_cell_length_a 5.410
_cell_length_b 5.410
_cell_length_c 5.410
_cell_angle_alpha 60.00
_cell_angle_beta 60.00
_cell_angle_gamma 60.00
_symmetry_space_group_name_H-M 'P 1'
_symmetry_Int_Tables_number 1
loop_
_symmetry_equiv_pos_as_xyz
'x,y,z'
loop_
_atom_site_label
_atom_site_type_symbol
_atom_site_fract_x
_atom_site_fract_y
_atom_site_fract_z
Na1 Na 0.250 0.250 0.250
Na2 Na 0.750 0.750 0.750
Na3 Na 0.500 0.500 0.500
Ga1 Ga 0.000 0.000 0.000

=====

[7]
# LiBO3, relaxed, DFT PBE
# E_tot = -27.6 eV for the cell shown
# symmetry = Pm-3m, No. 221
data_LiBO3
_cell_length_a 3.308
_cell_length_b 3.308
_cell_length_c 3.308
_cell_angle_alpha 90.00
_cell_angle_beta 90.00
_cell_angle_gamma 90.00
_symmetry_space_group_name_H-M 'P 1'
_symmetry_Int_Tables_number 1
loop_
_symmetry_equiv_pos_as_xyz
'x,y,z'
loop_
_atom_site_label
_atom_site_type_symbol
_atom_site_fract_x
_atom_site_fract_y
_atom_site_fract_z
Li1 Li 0.000 0.000 0.000
B1 B 0.500 0.500 0.500
O1 O 0.500 0.500 0.000
O2 O 0.500 0.000 0.500
O3 O 0.000 0.500 0.500

=====

[8]
# ZnHgAsHO5, relaxed, DFT PBE
# E_tot = -175.9 eV for the cell shown
# symmetry = Pnma, No. 62
data_ZnHgAsHO5
_cell_length_a 6.427
_cell_length_b 7.762
_cell_length_c 8.838
_cell_angle_alpha 90.00
_cell_angle_beta 90.00
_cell_angle_gamma 90.00
_symmetry_space_group_name_H-M 'P 1'
_symmetry_Int_Tables_number 1
loop_
_symmetry_equiv_pos_as_xyz
'x,y,z'
loop_
_atom_site_label
_atom_site_type_symbol
_atom_site_fract_x
_atom_site_fract_y
_atom_site_fract_z
Zn1 Zn 0.000 0.500 0.500
Zn2 Zn 0.500 0.500 0.500
Zn3 Zn 0.500 0.000 0.000
Zn4 Zn 0.000 0.000 0.000
Hg1 Hg 0.250 0.887 0.325
Hg2 Hg 0.750 0.113 0.675
Hg3 Hg 0.250 0.387 0.175
Hg4 Hg 0.750 0.613 0.825
As1 As 0.250 0.861 0.678
As2 As 0.750 0.139 0.322
As3 As 0.250 0.361 0.822
As4 As 0.750 0.639 0.178
H1 H 0.250 0.741 0.043
H2 H 0.750 0.259 0.957
H3 H 0.250 0.241 0.457
H4 H 0.750 0.759 0.543
O1 O 0.250 0.861 0.080
O2 O 0.750 0.139 0.920
O3 O 0.250 0.361 0.420
O4 O 0.750 0.639 0.580
O5 O 0.250 0.674 0.569
O6 O 0.750 0.326 0.431
O7 O 0.250 0.174 0.931
O8 O 0.750 0.826 0.069
O9 O 0.974 0.626 0.285
O10 O 0.474 0.374 0.715
O11 O 0.526 0.126 0.215
O12 O 0.026 0.874 0.785
O13 O 0.026 0.374 0.715
O14 O 0.526 0.626 0.285
O15 O 0.474 0.874 0.785
O16 O 0.974 0.126 0.215
O17 O 0.750 0.978 0.461
O18 O 0.250 0.022 0.539
O19 O 0.750 0.478 0.039
O20 O 0.250 0.522 0.961